(1)
A relaxed Cs4SnO4 crystal. Source: Materials Project, functional r2SCAN.

Calculated values
VASP energy: -18.182 eV per atom
calculated volume: 26.30 A^3/atom
DFT formation energy: -1619 meV per atom

a b c (Å): 11.7892 7.3509 11.7446
angles (deg): 90.00 111.54 90.00
Closest atoms and distances in Å follow each position.
Sites, in units of the cell vectors:
1 Cs 0.0601 0.0917 0.2006  4 O 2.98-3.29
2 Cs 0.0601 0.4083 0.7006  4 O 2.98-3.29
3 Cs 0.1578 0.6132 0.0866  4 O 2.87-3.09
4 Cs 0.1578 0.8868 0.5866  4 O 2.87-3.09
5 Cs 0.3674 0.6600 0.8907  4 O 2.88-2.96
6 Cs 0.3674 0.8400 0.3907  4 O 2.88-2.96
7 Cs 0.4283 0.1751 0.7960  5 O 3.03-3.19
8 Cs 0.4283 0.3249 0.2960  5 O 3.03-3.19
9 Cs 0.5717 0.6751 0.7040  5 O 3.03-3.19
10 Cs 0.5717 0.8249 0.2040  5 O 3.03-3.19
11 Cs 0.6326 0.1600 0.6093  4 O 2.88-2.96
12 Cs 0.6326 0.3400 0.1093  4 O 2.88-2.96
13 Cs 0.8422 0.1132 0.4134  4 O 2.87-3.09
14 Cs 0.8422 0.3868 0.9134  4 O 2.87-3.09
15 Cs 0.9399 0.5917 0.2994  4 O 2.98-3.29
16 Cs 0.9399 0.9083 0.7994  4 O 2.98-3.29
17 Sn 0.2415 0.1286 0.9935  4 O 1.98-1.99
18 Sn 0.2415 0.3714 0.4935  4 O 1.98-1.99
19 Sn 0.7585 0.6286 0.5065  4 O 1.98-1.99
20 Sn 0.7585 0.8714 0.0065  4 O 1.98-1.99
21 O 0.0813 0.2367 0.9727  1 Sn 1.98
22 O 0.0813 0.2633 0.4727  1 Sn 1.98
23 O 0.2185 0.5079 0.3411  1 Sn 1.98
24 O 0.2185 0.9921 0.8411  1 Sn 1.98
25 O 0.3026 0.5268 0.6421  1 Sn 1.99
26 O 0.3026 0.9732 0.1421  1 Sn 1.99
27 O 0.3628 0.1740 0.5167  1 Sn 1.98
28 O 0.3628 0.3260 0.0167  1 Sn 1.98
29 O 0.6372 0.6740 0.9833  1 Sn 1.98
30 O 0.6372 0.8260 0.4833  1 Sn 1.98
31 O 0.6974 0.0268 0.8579  1 Sn 1.99
32 O 0.6974 0.4732 0.3579  1 Sn 1.99
33 O 0.7815 0.0079 0.1589  1 Sn 1.98
34 O 0.7815 0.4921 0.6589  1 Sn 1.98
35 O 0.9187 0.7367 0.5273  1 Sn 1.98
36 O 0.9187 0.7633 0.0273  1 Sn 1.98

(2)
A relaxed Nd3Sb4Pt7 crystal. Source: Materials Project, functional r2SCAN.

Calculated values
VASP energy: -40.369 eV per atom
calculated volume: 20.92 A^3/atom
DFT formation energy: -977 meV per atom

a b c (Å): 8.6049 8.6049 10.4769
angles (deg): 127.36 127.36 28.98
Closest atoms and distances in Å follow each position.
Sites, in units of the cell vectors:
1 Nd 0.0000 0.0000 0.0000  6 Pt 3.27-3.31, 6 Sb 3.35-3.46
2 Nd 0.3284 0.3284 0.3160  8 Pt 2.97-3.20, 2 Sb 3.28
3 Nd 0.6716 0.6716 0.6840  8 Pt 2.97-3.20, 2 Sb 3.28
4 Sb 0.1381 0.1381 0.4083  6 Pt 2.70-3.00
5 Sb 0.3280 0.3280 0.9747  4 Pt 2.59-2.77
6 Sb 0.6720 0.6720 0.0253  4 Pt 2.59-2.77
7 Sb 0.8619 0.8619 0.5917  6 Pt 2.70-3.00
8 Pt 0.0000 0.0000 0.5000  6 Pt 2.83-2.97, 2 Sb 3.00, 4 Nd 3.10
9 Pt 0.1233 0.1233 0.8462  3 Sb 2.63-2.77, 3 Pt 2.83
10 Pt 0.3294 0.3294 0.7284  4 Sb 2.59-2.83
11 Pt 0.4842 0.4842 0.6789  3 Sb 2.70-2.95, 5 Pt 2.83-2.97, 1 Nd 2.97
12 Pt 0.5158 0.5158 0.3211  3 Sb 2.70-2.95, 5 Pt 2.83-2.97, 1 Nd 2.97
13 Pt 0.6706 0.6706 0.2716  4 Sb 2.59-2.83
14 Pt 0.8767 0.8767 0.1538  3 Sb 2.63-2.77, 3 Pt 2.83

(3)
A relaxed AcInHg2 crystal. Source: Materials Project, functional r2SCAN.

Calculated values
VASP energy: -47.999 eV per atom
calculated volume: 27.87 A^3/atom
DFT formation energy: -511 meV per atom

a b c (Å): 5.4023 5.4023 5.4023
angles (deg): 60.00 60.00 60.00
Closest atoms and distances in Å follow each position.
Sites, in units of the cell vectors:
1 Ac 0.0000 0.0000 0.0000  8 Hg 3.31
2 In 0.5000 0.5000 0.5000  8 Hg 3.31
3 Hg 0.2500 0.2500 0.2500  4 In 3.31, 4 Ac 3.31
4 Hg 0.7500 0.7500 0.7500  4 Ac 3.31, 4 In 3.31